{"formula": "CePO4", "functional": "PBE", "state": "optimized geometry", "dft_energy_ev_per_cell": -146.46, "sg": "No. 180", "formation_enthalpy_0k_ev_per_atom": -3.41, "de_polymorph_mev_per_atom": 0.0, "lattice": [[7.1905, 0.0000, 0.0000], [-3.5952, 6.2271, 0.0000], [0.0000, 0.0000, 6.4875]], "species": ["Ce", "Ce", "Ce", "P", "P", "P", "O", "O", "O", "O", "O", "O", "O", "O", "O", "O", "O", "O"], "frac_coords": [[0.0000, 0.5000, 0.1667], [0.5000, 0.0000, 0.5000], [0.5000, 0.5000, 0.8333], [0.0000, 0.5000, 0.6667], [0.5000, 0.0000, 0.0000], [0.5000, 0.5000, 0.3333], [0.1372, 0.4462, 0.8133], [0.1372, 0.6910, 0.5200], [0.3090, 0.4462, 0.1867], [0.3090, 0.8628, 0.1467], [0.4462, 0.1372, 0.8533], [0.4462, 0.3090, 0.4800], [0.5538, 0.6910, 0.4800], [0.5538, 0.8628, 0.8533], [0.6910, 0.1372, 0.1467], [0.6910, 0.5538, 0.1867], [0.8628, 0.3090, 0.5200], [0.8628, 0.5538, 0.8133]]}